Material: K3Co2F7
Method: DFT, r2SCAN
State: relaxed

calculated formation energy: -31.2 eV/f.u.
total magnetic moment: 12.00 μB per cell
electronic total energy: -195.195 eV/cell

The structure in CIF format:
```
data_K3Co2F7
_chemical_formula_sum 'K6 Co4 F14'
_cell_length_a 4.067
_cell_length_b 4.067
_cell_length_c 20.825
_cell_angle_alpha 90.00
_cell_angle_beta 90.00
_cell_angle_gamma 90.00
_symmetry_space_group_name_H-M 'I 4/m m m'
_symmetry_Int_Tables_number 139
_symmetry_space_group_name_Hall '-I 4 2'
loop_
_atom_site_label
_atom_site_type_symbol
_atom_site_fract_x
_atom_site_fract_y
_atom_site_fract_z
K1 K 0.000 0.000 0.000
K2 K 0.000 0.000 0.183
Co1 Co 0.000 0.000 0.404
F1 F 0.000 0.000 0.308
F2 F 0.000 0.000 0.500
F3 F 0.000 0.500 0.095
```